Cs3Nb6SBr17 | meta-GGA r2SCAN | optimized geometry

a = 13.1025 Å, b = 13.1025 Å, c = 9.6018 Å
α = 89.78°, β = 89.78°, γ = 96.10°
Positions (direct):
Cs (0.4508, 0.5492, 0.7500)
Br (0.9903, 0.1289, 0.6122)
S (0.2231, 0.7769, 0.2500)
Br (0.2573, 0.0324, 0.4792)
Br (0.8553, 0.6274, 0.3267)
Br (0.6274, 0.8553, 0.8267)
Nb (0.0518, 0.6955, 0.2576)
Nb (0.2378, 0.6167, 0.1407)
Br (0.6405, 0.1995, 0.3782)
Br (0.3516, 0.9022, 0.9779)
Nb (0.8022, 0.1643, 0.5203)
Br (0.1193, 0.8807, 0.7500)
Br (0.9676, 0.7427, 0.0208)
Nb (0.6167, 0.2378, 0.6407)
Br (0.0324, 0.2573, 0.9792)
Br (0.5664, 0.6959, 0.4433)
Br (0.0978, 0.6484, 0.5221)
Cs (0.5492, 0.4508, 0.2500)
Nb (0.7622, 0.3833, 0.8593)
Br (0.8807, 0.1193, 0.2500)
Br (0.5072, 0.0624, 0.6791)
Br (0.5612, 0.3097, 0.8928)
Cs (0.1640, 0.2715, 0.3325)
Nb (0.8357, 0.1978, 0.9797)
Br (0.3726, 0.1447, 0.1733)
Br (0.7427, 0.9676, 0.5208)
Nb (0.1978, 0.8357, 0.4797)
Br (0.4388, 0.6903, 0.1072)
Br (0.6959, 0.5664, 0.9433)
Nb (0.3045, 0.9482, 0.2424)
Br (0.9376, 0.4928, 0.8209)
Nb (0.6955, 0.0518, 0.7576)
Br (0.1447, 0.3726, 0.6733)
Br (0.6903, 0.4388, 0.6072)
Br (0.8005, 0.3595, 0.1218)
Br (0.3041, 0.4336, 0.0567)
Nb (0.1643, 0.8022, 0.0203)
Cs (0.2715, 0.1640, 0.8325)
Br (0.0624, 0.5072, 0.1791)
Br (0.6484, 0.0978, 0.0221)
Br (0.4928, 0.9376, 0.3209)
Br (0.3595, 0.8005, 0.6218)
Cs (0.8360, 0.7285, 0.6675)
Br (0.8711, 0.0097, 0.8878)
Br (0.3097, 0.5612, 0.3928)
Br (0.0097, 0.8711, 0.3878)
Br (0.4336, 0.3041, 0.5567)
Br (0.9022, 0.3516, 0.4779)
Br (0.1289, 0.9903, 0.1122)
Cs (0.7285, 0.8360, 0.1675)
S (0.7769, 0.2231, 0.7500)
Nb (0.9482, 0.3045, 0.7424)
Br (0.1995, 0.6405, 0.8782)
Nb (0.3833, 0.7622, 0.3593)

Computed properties:
- E_form (meV per atom) = -1351.9
- SG = C2/c
- size of the total moment (μB per formula unit) = 0.0



PrGe2Pt | meta-GGA r2SCAN | optimized geometry

a = 9.6672 Å, b = 9.6672 Å, c = 9.6672 Å
α = 153.34°, β = 125.63°, γ = 61.56°
Positions (direct):
Ge (0.4258, 0.4258, 0.0000)
Ge (0.0737, 0.5737, 0.5000)
Pt (0.9039, 0.6496, 0.2544)
Pr (0.7027, 0.2027, 0.5000)
Pt (0.6048, 0.3504, 0.2544)
Pr (0.7423, 0.0000, 0.7423)
Ge (0.3492, 0.1986, 0.1507)
Pr (0.2973, 0.7973, 0.5000)
Pt (0.0961, 0.3504, 0.7456)
Ge (0.6508, 0.8014, 0.8493)
Ge (0.5742, 0.5742, 0.0000)
Pt (0.3952, 0.6496, 0.7456)
Ge (0.9263, 0.4263, 0.5000)
Ge (0.9521, 0.8014, 0.1507)
Pr (0.2577, 0.0000, 0.2577)
Ge (0.0479, 0.1986, 0.8493)

Computed properties:
- E_form (meV per atom) = -969.6
- SG = Immm
- size of the total moment (μB per formula unit) = 0.0



| no. | calculated volume (A^3/atom) |
| --- | --- |
| 1 | 30.352 |
| 2 | 20.441 |